Entry 1
Material: Li2FeBO4
Method: DFT, PBE+U
State: optimized geometry

Cell: 4.889 6.194 10.216 Å, 90.00 90.00 90.00°
Element x y z (fractional)
Li 0.788 0.869 0.579
Li 0.288 0.369 0.921
Li 0.311 0.116 0.658
Li 0.212 0.369 0.421
Li 0.712 0.869 0.079
Li 0.189 0.116 0.158
Li 0.811 0.616 0.842
Li 0.689 0.616 0.342
O 0.252 0.861 0.052
O 0.287 0.667 0.342
O 0.787 0.167 0.158
O 0.701 0.567 0.653
O 0.799 0.567 0.153
O 0.377 0.374 0.105
O 0.299 0.067 0.347
O 0.248 0.861 0.552
O 0.877 0.874 0.395
O 0.713 0.167 0.658
O 0.213 0.667 0.842
O 0.752 0.361 0.448
O 0.201 0.067 0.847
O 0.123 0.374 0.605
O 0.748 0.361 0.948
O 0.623 0.874 0.895
B 0.683 0.367 0.091
B 0.183 0.867 0.409
B 0.817 0.367 0.591
B 0.317 0.867 0.909
Fe 0.186 0.620 0.162
Fe 0.314 0.620 0.662
Fe 0.686 0.120 0.338
Fe 0.814 0.120 0.838

Properties
Volume ... 9.667 A^3/atom


Entry 2
Material: Li2FeBO4
Method: DFT, PBE+U
State: optimized geometry

Cell: 4.892 6.426 9.929 Å, 89.66 90.00 90.00°
Element x y z (fractional)
B 0.847 0.500 0.917
B 0.653 0.500 0.417
B 0.153 0.500 0.083
B 0.347 0.500 0.583
O 0.250 0.311 0.145
O 0.332 0.493 0.427
O 0.263 0.689 0.139
O 0.750 0.689 0.855
O 0.737 0.311 0.861
O 0.832 0.507 0.073
O 0.763 0.311 0.361
O 0.668 0.507 0.573
O 0.729 0.990 0.613
O 0.229 0.010 0.887
O 0.168 0.493 0.927
O 0.237 0.689 0.639
O 0.271 0.010 0.387
O 0.250 0.311 0.645
O 0.750 0.689 0.355
O 0.771 0.990 0.113
Li 0.175 0.998 0.085
Li 0.348 0.742 0.846
Li 0.325 0.998 0.585
Li 0.848 0.258 0.654
Li 0.652 0.258 0.154
Li 0.825 0.002 0.915
Li 0.152 0.742 0.346
Li 0.675 0.002 0.415
Fe 0.650 0.738 0.168
Fe 0.850 0.738 0.668
Fe 0.350 0.262 0.832
Fe 0.150 0.262 0.332

Properties
Volume ... 9.753 A^3/atom


Most stable of them? entry 1.


Entry 1
Material: Li3Co2O5
Method: DFT, PBE+U
State: optimized geometry

Cell: 4.951 5.026 7.563 Å, 71.80 72.19 79.82°
Element x y z (fractional)
O 0.653 0.786 0.933
O 0.772 0.225 0.242
O 0.573 0.236 0.660
O 0.127 0.217 0.455
O 0.427 0.764 0.340
O 0.873 0.783 0.545
O 0.228 0.775 0.758
O 0.964 0.219 0.842
O 0.347 0.214 0.067
O 0.036 0.781 0.158
Co 0.305 0.002 0.891
Co 0.099 0.998 0.306
Co 0.901 0.002 0.694
Co 0.695 0.998 0.109
Li 0.211 0.501 0.597
Li 0.000 0.500 0.000
Li 0.500 0.000 0.500
Li 0.398 0.493 0.205
Li 0.789 0.499 0.403
Li 0.602 0.507 0.795

Properties
Volume ... 8.476 A^3/atom


Entry 2
Material: Li3Co2O5
Method: DFT, PBE+U
State: optimized geometry

Cell: 10.384 10.384 5.948 Å, 82.62 82.62 16.18°
Element x y z (fractional)
Co 0.698 0.698 0.906
Co 0.094 0.094 0.697
Co 0.906 0.906 0.303
Co 0.302 0.302 0.094
Li 0.902 0.902 0.792
Li 0.303 0.303 0.598
Li 0.697 0.697 0.402
Li 0.098 0.098 0.208
Li 0.500 0.500 0.500
Li 0.500 0.500 0.000
O 0.809 0.809 0.332
O 0.600 0.600 0.935
O 0.991 0.991 0.254
O 0.400 0.400 0.065
O 0.600 0.600 0.471
O 0.191 0.191 0.668
O 0.400 0.400 0.529
O 0.202 0.202 0.141
O 0.798 0.798 0.859
O 0.009 0.009 0.746

Properties
Volume ... 8.857 A^3/atom


Most stable of them? entry 1.


Entry 1
Material: LiMnB2O5
Method: DFT, PBE+U
State: optimized geometry

Cell: 9.305 6.053 6.893 Å, 75.56 90.00 90.00°
Element x y z (fractional)
O 0.170 0.662 0.719
O 0.154 0.814 0.361
O 0.210 0.586 0.064
O 0.830 0.338 0.281
O 0.505 0.288 0.930
O 0.290 0.086 0.064
O 0.495 0.712 0.070
O 0.330 0.162 0.719
O 0.058 0.257 0.460
O 0.670 0.838 0.281
O 0.558 0.243 0.540
O 0.942 0.743 0.540
O 0.710 0.914 0.936
O 0.346 0.314 0.361
O 0.846 0.186 0.639
O 0.654 0.686 0.639
O 0.442 0.757 0.460
O 0.005 0.212 0.070
O 0.790 0.414 0.936
O 0.995 0.788 0.930
Mn 0.175 0.221 0.241
Mn 0.675 0.279 0.759
Mn 0.325 0.721 0.241
Mn 0.825 0.779 0.759
B 0.879 0.320 0.092
B 0.121 0.680 0.908
B 0.089 0.737 0.543
B 0.911 0.263 0.457
B 0.379 0.180 0.908
B 0.621 0.820 0.092
B 0.589 0.763 0.457
B 0.411 0.237 0.543
Li 0.062 0.166 0.788
Li 0.562 0.334 0.212
Li 0.438 0.666 0.788
Li 0.938 0.834 0.212

Properties
Volume ... 10.444 A^3/atom


Entry 2
Material: LiMnB2O5
Method: DFT, PBE+U
State: optimized geometry

Cell: 7.198 7.198 9.507 Å, 73.52 73.52 96.56°
Element x y z (fractional)
Li 0.832 0.168 0.250
Li 0.608 0.392 0.750
Li 0.168 0.832 0.750
Li 0.392 0.608 0.250
O 0.406 0.834 0.831
O 0.582 0.716 0.013
O 0.275 0.066 0.552
O 0.934 0.725 0.948
O 0.194 0.172 0.254
O 0.834 0.406 0.331
O 0.352 0.761 0.397
O 0.725 0.934 0.448
O 0.418 0.284 0.987
O 0.066 0.275 0.052
O 0.716 0.582 0.513
O 0.806 0.828 0.746
O 0.594 0.166 0.169
O 0.172 0.194 0.754
O 0.761 0.352 0.897
O 0.239 0.648 0.103
O 0.828 0.806 0.246
O 0.648 0.239 0.603
O 0.166 0.594 0.669
O 0.284 0.418 0.487
B 0.227 0.243 0.097
B 0.243 0.227 0.597
B 0.596 0.265 0.023
B 0.265 0.596 0.523
B 0.773 0.757 0.903
B 0.757 0.773 0.403
B 0.735 0.404 0.477
B 0.404 0.735 0.977
Mn 0.639 0.954 0.652
Mn 0.954 0.639 0.152
Mn 0.046 0.361 0.848
Mn 0.361 0.046 0.348

Properties
Volume ... 12.296 A^3/atom


Most stable of them? entry 1.


Entry 1
Material: NaLi2FePCO7
Method: DFT, PBE+U
State: optimized geometry

Cell: 8.281 8.371 8.676 Å, 88.73 86.87 103.71°
Element x y z (fractional)
Li 0.364 0.393 0.720
Li 0.633 0.604 0.282
Li 0.007 0.224 0.905
Li 0.132 0.104 0.282
Li 0.365 0.884 0.275
Li 0.864 0.893 0.720
Li 0.507 0.724 0.905
Li 0.865 0.384 0.276
O 0.866 0.625 0.867
O 0.654 0.404 0.895
O 0.273 0.020 0.107
O 0.385 0.833 0.676
O 0.885 0.333 0.676
O 0.685 0.912 0.566
O 0.185 0.412 0.566
O 0.971 0.215 0.420
O 0.524 0.298 0.582
O 0.833 0.587 0.425
O 0.944 0.882 0.316
O 0.200 0.422 0.901
O 0.349 0.592 0.069
O 0.154 0.904 0.894
O 0.471 0.715 0.420
O 0.024 0.798 0.582
O 0.137 0.700 0.328
O 0.333 0.087 0.425
O 0.052 0.127 0.687
O 0.444 0.382 0.316
O 0.637 0.200 0.328
O 0.849 0.092 0.069
O 0.366 0.125 0.867
O 0.631 0.890 0.156
O 0.700 0.922 0.901
O 0.551 0.627 0.687
O 0.773 0.520 0.107
O 0.131 0.390 0.156
Na 0.626 0.122 0.744
Na 0.503 0.255 0.087
Na 0.126 0.622 0.744
Na 0.003 0.755 0.087
P 0.984 0.742 0.417
P 0.023 0.272 0.582
P 0.523 0.772 0.582
P 0.484 0.242 0.417
C 0.265 0.016 0.957
C 0.727 0.969 0.041
C 0.765 0.516 0.957
C 0.228 0.468 0.041
Fe 0.230 0.990 0.655
Fe 0.729 0.490 0.656
Fe 0.770 0.022 0.340
Fe 0.270 0.522 0.340

Properties
Volume ... 11.211 A^3/atom


Entry 2
Material: NaLi2FePCO7
Method: DFT, PBE+U
State: optimized geometry

Cell: 5.064 11.225 10.673 Å, 104.47 92.92 86.99°
Element x y z (fractional)
O 0.835 0.194 0.890
O 0.163 0.308 0.614
O 0.959 0.414 0.345
O 0.463 0.032 0.193
O 0.211 0.608 0.937
O 0.368 0.163 0.066
O 0.413 0.828 0.394
O 0.959 0.913 0.844
O 0.168 0.100 0.675
O 0.370 0.665 0.564
O 0.587 0.672 0.104
O 0.053 0.583 0.656
O 0.839 0.695 0.390
O 0.827 0.401 0.826
O 0.631 0.336 0.434
O 0.535 0.965 0.807
O 0.482 0.534 0.689
O 0.587 0.174 0.606
O 0.789 0.387 0.062
O 0.792 0.889 0.561
O 0.409 0.328 0.896
O 0.832 0.901 0.325
O 0.160 0.803 0.107
O 0.169 0.598 0.174
O 0.535 0.466 0.308
O 0.205 0.116 0.440
O 0.039 0.085 0.155
O 0.632 0.835 0.934
P 0.716 0.329 0.917
P 0.720 0.830 0.417
P 0.279 0.172 0.584
P 0.280 0.669 0.082
Na 0.740 0.122 0.378
Na 0.258 0.378 0.122
Na 0.740 0.621 0.877
Na 0.258 0.879 0.623
C 0.711 0.903 0.862
C 0.300 0.595 0.636
C 0.711 0.404 0.363
C 0.288 0.095 0.137
Fe 0.213 0.447 0.789
Fe 0.783 0.056 0.710
Fe 0.213 0.945 0.290
Fe 0.785 0.555 0.210
Li 0.747 0.343 0.627
Li 0.763 0.153 0.057
Li 0.240 0.164 0.877
Li 0.236 0.348 0.444
Li 0.767 0.648 0.557
Li 0.756 0.838 0.123
Li 0.244 0.661 0.376
Li 0.239 0.852 0.945

Properties
Volume ... 11.272 A^3/atom


Most stable of them? entry 2.


Entry 1
Material: Li3Mn2O5
Method: DFT, PBE+U
State: optimized geometry

Cell: 5.206 7.629 5.238 Å, 69.92 67.71 82.52°
Element x y z (fractional)
O 0.213 0.010 0.235
O 0.765 0.800 0.320
O 0.765 0.194 0.128
O 0.213 0.590 0.445
O 0.787 0.590 0.965
O 0.235 0.800 0.880
O 0.787 0.010 0.755
O 0.765 0.406 0.522
O 0.235 0.194 0.678
O 0.235 0.406 0.072
Li 0.500 0.800 0.100
Li 0.500 0.994 0.503
Li 0.500 0.195 0.903
Li 0.500 0.606 0.697
Li 0.500 0.405 0.297
Li 0.000 0.800 0.600
Mn 0.000 0.602 0.199
Mn 0.000 0.998 0.001
Mn 0.000 0.402 0.799
Mn 0.000 0.198 0.401

Properties
Volume ... 9.041 A^3/atom


Entry 2
Material: Li3Mn2O5
Method: DFT, PBE+U
State: optimized geometry

Cell: 2.881 12.248 5.206 Å, 91.54 90.00 96.75°
Element x y z (fractional)
O 0.954 0.908 0.680
O 0.748 0.497 0.294
O 0.345 0.689 0.464
O 0.543 0.086 0.849
O 0.146 0.292 0.054
O 0.654 0.308 0.546
O 0.052 0.103 0.306
O 0.455 0.911 0.136
O 0.846 0.692 0.920
O 0.257 0.514 0.751
Li 0.400 0.800 0.800
Li 0.900 0.800 0.300
Li 0.701 0.402 0.904
Li 0.495 0.991 0.503
Li 0.305 0.609 0.097
Li 0.099 0.198 0.696
Mn 0.599 0.199 0.187
Mn 0.805 0.609 0.625
Mn 0.201 0.401 0.413
Mn 0.995 0.991 0.975

Properties
Volume ... 9.118 A^3/atom


Most stable of them? entry 1.


Entry 1
Material: Ba2MgW2O8
Method: DFT, PBE+U
State: optimized geometry

Cell: 4.005 5.908 9.491 Å, 91.09 102.99 89.57°
Element x y z (fractional)
W 0.582 0.992 0.184
W 0.399 0.490 0.854
Ba 0.790 0.975 0.565
Ba 0.096 0.494 0.203
O 0.370 0.229 0.717
O 0.362 0.747 0.717
O 0.654 0.748 0.324
O 0.501 0.241 0.013
O 0.080 0.985 0.166
O 0.502 0.752 0.013
O 0.682 0.223 0.326
O 0.929 0.495 0.869
Mg 0.469 0.992 0.866

Properties
Volume ... 16.832 A^3/atom


Entry 2
Material: Ba2MgW2O8
Method: DFT, PBE+U
State: optimized geometry

Cell: 4.118 5.925 8.127 Å, 94.32 104.60 89.88°
Element x y z (fractional)
W 0.593 0.017 0.187
W 0.398 0.461 0.795
O 0.915 0.472 0.827
O 0.492 0.238 0.979
O 0.699 0.847 0.395
O 0.100 0.991 0.202
O 0.506 0.748 0.013
O 0.321 0.193 0.637
O 0.329 0.702 0.651
O 0.652 0.293 0.314
Ba 0.901 0.965 0.800
Ba 0.091 0.502 0.190
Mg 0.236 0.936 0.468

Properties
Volume ... 14.719 A^3/atom


Most stable of them? entry 2.